Entry from Materials Project: TiCrAgS4 after structural relaxation (GGA-PBE).

The space-group type is Pm. The formation energy is -7.304 eV per formula unit. The calculation puts the total energy at -168.9 eV per cell. As for the energy relative to the lowest polymorph listed for this composition: 63.3 meV per atom.

Cell: 11.8073 3.4586 14.1759 Å, 90.00 99.75 90.00°
Fractional positions:
Ti 0.0000 0.0000 0.0000
Ti 0.1802 0.0000 0.3908
Ti 0.5035 0.5000 0.0151
Ti 0.7267 0.0000 0.4727
Cr 0.0877 0.5000 0.1898
Cr 0.2676 0.5000 0.6091
Cr 0.5421 0.0000 0.8301
Cr 0.6422 0.5000 0.6480
Ag 0.2012 0.5000 0.8423
Ag 0.4680 0.5000 0.2548
Ag 0.7798 0.0000 0.2244
Ag 0.9864 0.0000 0.6190
S 0.0042 0.0000 0.2735
S 0.0068 0.5000 0.8864
S 0.1022 0.5000 0.4819
S 0.1703 0.0000 0.1024
S 0.1875 0.0000 0.6961
S 0.2682 0.5000 0.3007
S 0.3330 0.0000 0.5205
S 0.3858 0.0000 0.9254
S 0.4678 0.5000 0.7198
S 0.5620 0.0000 0.1360
S 0.5676 0.0000 0.5348
S 0.6467 0.5000 0.9317
S 0.6885 0.5000 0.3511
S 0.7074 0.0000 0.7554
S 0.8217 0.5000 0.5817
S 0.9059 0.5000 0.0824